No. 1
VASP calculation (PBE with a Hubbard U) on SrCaSmMnO6 after structural relaxation.

Calculated values
* theoretical density: 5.03 Mg/m³
* E_tot: -6.84 eV/atom
* space group: F-43m, No. 216

Structure (CIF):
```
data_SrCaSmMnO6
_chemical_formula_sum 'Sr1 Ca1 Sm1 Mn1 O6'
_cell_length_a 5.8520
_cell_length_b 5.8520
_cell_length_c 5.8520
_cell_angle_alpha 60.00
_cell_angle_beta 60.00
_cell_angle_gamma 60.00
_space_group_name_H-M_alt 'P 1'
_space_group_IT_number 1
loop_
_space_group_symop_operation_xyz
'x,y,z'
loop_
_atom_site_label
_atom_site_type_symbol
_atom_site_fract_x
_atom_site_fract_y
_atom_site_fract_z
O1 O 0.7706 0.2294 0.2294
O2 O 0.7706 0.7706 0.2294
O3 O 0.2294 0.2294 0.7706
O4 O 0.2294 0.7706 0.2294
O5 O 0.7706 0.2294 0.7706
O6 O 0.2294 0.7706 0.7706
Mn1 Mn 0.0000 0.0000 0.0000
Sm1 Sm 0.5000 0.5000 0.5000
Sr1 Sr 0.2500 0.2500 0.2500
Ca1 Ca 0.7500 0.7500 0.7500
```

No. 2
VASP calculation (PBE with a Hubbard U) on CaSm4Ti2Mn2O12 after structural relaxation.

Calculated values
* theoretical density: 6.18 Mg/m³
* E_tot: -8.04 eV/atom
* space group: P1, No. 1

Structure (CIF):
```
data_CaSm4Ti2Mn2O12
_chemical_formula_sum 'Ca1 Sm4 Ti2 Mn2 O12'
_cell_length_a 5.9149
_cell_length_b 6.2398
_cell_length_c 7.6489
_cell_angle_alpha 89.65
_cell_angle_beta 87.08
_cell_angle_gamma 81.75
_space_group_name_H-M_alt 'P 1'
_space_group_IT_number 1
loop_
_space_group_symop_operation_xyz
'x,y,z'
loop_
_atom_site_label
_atom_site_type_symbol
_atom_site_fract_x
_atom_site_fract_y
_atom_site_fract_z
Mn1 Mn 0.4544 0.8957 0.9670
Mn2 Mn 0.1170 0.4943 0.5150
O1 O 0.8167 0.8146 0.0505
O2 O 0.0372 0.4464 0.2608
O3 O 0.8110 0.8616 0.4589
O4 O 0.1488 0.1513 0.5459
O5 O 0.2867 0.6180 0.9426
O6 O 0.5951 0.0619 0.7515
O7 O 0.3582 0.7086 0.5685
O8 O 0.3852 0.9526 0.2505
O9 O 0.1535 0.1491 0.9641
O10 O 0.8990 0.5619 0.7338
O11 O 0.7154 0.3708 0.0366
O12 O 0.5939 0.2957 0.4201
Sm1 Sm 0.5609 0.4356 0.7410
Sm2 Sm 0.6513 0.6358 0.3014
Sm3 Sm 0.9828 0.9244 0.7517
Sm4 Sm 0.9626 0.0757 0.2515
Ti1 Ti 0.9908 0.4971 0.9864
Ti2 Ti 0.4651 0.0218 0.5138
Ca1 Ca 0.3896 0.2978 0.1551
```

No. 3
VASP calculation (PBE with a Hubbard U) on CaMnSnWO6 after structural relaxation.

Calculated values
* theoretical density: 6.14 Mg/m³
* E_tot: -6.96 eV/atom
* space group: F-43m, No. 216

Structure (CIF):
```
data_CaMnSnWO6
_chemical_formula_sum 'Ca1 Mn1 Sn1 W1 O6'
_cell_length_a 5.7378
_cell_length_b 5.7378
_cell_length_c 5.7378
_cell_angle_alpha 60.00
_cell_angle_beta 60.00
_cell_angle_gamma 60.00
_space_group_name_H-M_alt 'P 1'
_space_group_IT_number 1
loop_
_space_group_symop_operation_xyz
'x,y,z'
loop_
_atom_site_label
_atom_site_type_symbol
_atom_site_fract_x
_atom_site_fract_y
_atom_site_fract_z
W1 W 0.5000 0.5000 0.5000
Sn1 Sn 0.7500 0.7500 0.7500
Ca1 Ca 0.2500 0.2500 0.2500
O1 O 0.2608 0.2608 0.7392
O2 O 0.7392 0.7392 0.2608
O3 O 0.2608 0.7392 0.2608
O4 O 0.7392 0.2608 0.2608
O5 O 0.7392 0.2608 0.7392
O6 O 0.2608 0.7392 0.7392
Mn1 Mn 0.0000 0.0000 0.0000
```

No. 4
VASP calculation (PBE with a Hubbard U) on Sr3Ca5Mn8O20 after structural relaxation.

Calculated values
* E above lowest polymorph: 0.0000 eV/atom
* theoretical density: 4.16 Mg/m³
* E_tot: -6.96 eV/atom
* space group: P1, No. 1

Structure (CIF):
```
data_Sr3Ca5Mn8O20
_chemical_formula_sum 'Sr12 Ca20 Mn32 O80'
_cell_length_a 11.2069
_cell_length_b 15.5713
_cell_length_c 11.1954
_cell_angle_alpha 90.34
_cell_angle_beta 91.12
_cell_angle_gamma 90.27
_space_group_name_H-M_alt 'P 1'
_space_group_IT_number 1
loop_
_space_group_symop_operation_xyz
'x,y,z'
loop_
_atom_site_label
_atom_site_type_symbol
_atom_site_fract_x
_atom_site_fract_y
_atom_site_fract_z
Ca1 Ca 0.5440 0.6296 0.4875
Ca2 Ca 0.7787 0.1206 0.7539
Ca3 Ca 0.2314 0.6192 0.7481
Ca4 Ca 0.9584 0.3853 0.4995
Ca5 Ca 0.9572 0.3842 0.0013
Ca6 Ca 0.7618 0.3758 0.7558
Ca7 Ca 0.7541 0.8737 0.7541
Ca8 Ca 0.5464 0.6296 0.9856
Ca9 Ca 0.7645 0.3757 0.2574
Ca10 Ca 0.5137 0.8733 0.4970
Ca11 Ca 0.7817 0.6199 0.7559
Ca12 Ca 0.2223 0.8897 0.7664
Ca13 Ca 0.7782 0.6202 0.2511
Ca14 Ca 0.5455 0.1293 0.9846
Ca15 Ca 0.0016 0.6110 0.0045
Ca16 Ca 0.9585 0.8839 0.0017
Ca17 Ca 0.5444 0.1295 0.4844
Ca18 Ca 0.7631 0.8766 0.2564
Ca19 Ca 0.7791 0.1206 0.2514
Ca20 Ca 0.9575 0.8836 0.4994
O1 O 0.7528 0.1243 0.5409
O2 O 0.3505 0.0007 0.6680
O3 O 0.6570 0.2250 0.3575
O4 O 0.6238 0.0252 0.8500
O5 O 0.9965 0.1269 0.7259
O6 O 0.7551 0.6264 0.0403
O7 O 0.8802 0.0120 0.8856
O8 O 0.7436 0.8746 0.9648
O9 O 0.6219 0.5247 0.3548
O10 O 0.1482 0.0046 0.8731
O11 O 0.1462 0.2483 0.3345
O12 O 0.3599 0.5124 0.1468
O13 O 0.6275 0.0284 0.3491
O14 O 0.2312 0.6303 0.5413
O15 O 0.1418 0.7464 0.3404
O16 O 0.5885 0.7523 0.1051
O17 O 0.0963 0.4750 0.6190
O18 O 0.9932 0.3753 0.2889
O19 O 0.3619 0.0025 0.1542
O20 O 0.4036 0.7020 0.3618
O21 O 0.6553 0.7212 0.3553
O22 O 0.7419 0.3754 0.4688
O23 O 0.4797 0.3734 0.7693
O24 O 0.2980 0.8735 0.4935
O25 O 0.7557 0.1253 0.0377
O26 O 0.8596 0.7732 0.6453
O27 O 0.8608 0.2731 0.1437
O28 O 0.4841 0.8704 0.7743
O29 O 0.9935 0.8740 0.2893
O30 O 0.0983 0.9716 0.6214
O31 O 0.9923 0.3764 0.7918
O32 O 0.2835 0.3755 0.9936
O33 O 0.2147 0.6320 0.0283
O34 O 0.1618 0.7514 0.8026
O35 O 0.8486 0.9798 0.6374
O36 O 0.8943 0.2399 0.9078
O37 O 0.8500 0.4813 0.1376
O38 O 0.8939 0.2396 0.4083
O39 O 0.8867 0.5151 0.8917
O40 O 0.9976 0.1270 0.2278
O41 O 0.2837 0.8723 0.9851
O42 O 0.2865 0.3750 0.4999
O43 O 0.8528 0.9819 0.1359
O44 O 0.8912 0.7403 0.4079
O45 O 0.9955 0.8730 0.7937
O46 O 0.8606 0.2735 0.6440
O47 O 0.0962 0.4775 0.1169
O48 O 0.6569 0.2249 0.8580
O49 O 0.5905 0.7555 0.5958
O50 O 0.1543 0.5080 0.3732
O51 O 0.8812 0.5131 0.3855
O52 O 0.7355 0.8754 0.4655
O53 O 0.8557 0.4830 0.6447
O54 O 0.6295 0.5256 0.8551
O55 O 0.5931 0.2504 0.6018
O56 O 0.3553 0.5125 0.6625
O57 O 0.7414 0.3762 0.9656
O58 O 0.6038 0.9999 0.0937
O59 O 0.6602 0.7265 0.8580
O60 O 0.7539 0.6278 0.5421
O61 O 0.9073 0.7340 0.9157
O62 O 0.2357 0.1281 0.0311
O63 O 0.6038 0.5016 0.5962
O64 O 0.1006 0.9755 0.1212
O65 O 0.6049 0.5011 0.0942
O66 O 0.5942 0.9964 0.5867
O67 O 0.2387 0.1274 0.5331
O68 O 0.8803 0.0104 0.3863
O69 O 0.9988 0.6264 0.7264
O70 O 0.8575 0.7745 0.1463
O71 O 0.4046 0.2043 0.3619
O72 O 0.4751 0.3733 0.2699
O73 O 0.9948 0.6279 0.2185
O74 O 0.4831 0.8741 0.2879
O75 O 0.4044 0.2047 0.8630
O76 O 0.1489 0.5101 0.8643
O77 O 0.1534 0.0035 0.3763
O78 O 0.1446 0.2488 0.8344
O79 O 0.5934 0.2508 0.1025
O80 O 0.4024 0.6891 0.8568
Mn1 Mn 0.7471 0.5030 0.9985
Mn2 Mn 0.7461 0.5040 0.4991
Mn3 Mn 0.9886 0.7517 0.2604
Mn4 Mn 0.7469 0.0019 0.9972
Mn5 Mn 0.9943 0.7512 0.7614
Mn6 Mn 0.9906 0.2523 0.2615
Mn7 Mn 0.7552 0.2474 0.5041
Mn8 Mn 0.7553 0.2481 0.0031
Mn9 Mn 0.9943 0.9951 0.2515
Mn10 Mn 0.7598 0.7472 0.0022
Mn11 Mn 0.5082 0.4958 0.7378
Mn12 Mn 0.9933 0.4970 0.2501
Mn13 Mn 0.5162 0.7462 0.7524
Mn14 Mn 0.5061 0.9886 0.7343
Mn15 Mn 0.2680 0.7454 0.4744
Mn16 Mn 0.2673 0.2460 0.4709
Mn17 Mn 0.7530 0.7487 0.5052
Mn18 Mn 0.2468 0.9957 0.5223
Mn19 Mn 0.5185 0.2514 0.7553
Mn20 Mn 0.5193 0.2515 0.2559
Mn21 Mn 0.9918 0.9941 0.7513
Mn22 Mn 0.2402 0.5019 0.0140
Mn23 Mn 0.9898 0.2526 0.7609
Mn24 Mn 0.2442 0.5015 0.5218
Mn25 Mn 0.2443 0.9972 0.0168
Mn26 Mn 0.5202 0.7505 0.2598
Mn27 Mn 0.2655 0.2465 0.9702
Mn28 Mn 0.5113 0.9900 0.2358
Mn29 Mn 0.5076 0.4941 0.2334
Mn30 Mn 0.9956 0.4966 0.7530
Mn31 Mn 0.2650 0.7433 0.9563
Mn32 Mn 0.7433 0.0013 0.4976
Sr1 Sr 0.0029 0.1160 0.0010
Sr2 Sr 0.5131 0.3758 0.4950
Sr3 Sr 0.2352 0.8833 0.2641
Sr4 Sr 0.2357 0.3857 0.7579
Sr5 Sr 0.2324 0.1191 0.7531
Sr6 Sr 0.5117 0.3755 0.9948
Sr7 Sr 0.5118 0.8752 0.9926
Sr8 Sr 0.2307 0.6213 0.2472
Sr9 Sr 0.0046 0.1154 0.4996
Sr10 Sr 0.2338 0.1177 0.2520
Sr11 Sr 0.2345 0.3861 0.2596
Sr12 Sr 0.0041 0.6182 0.5014
```

No. 5
VASP calculation (PBE with a Hubbard U) on SrCa7Mn8O24 after structural relaxation.

Calculated values
* E above lowest polymorph: 0.0000 eV/atom
* theoretical density: 4.48 Mg/m³
* E_tot: -6.93 eV/atom
* space group: P-1, No. 2

Structure (CIF):
```
data_SrCa7Mn8O24
_chemical_formula_sum 'Sr4 Ca28 Mn32 O96'
_cell_length_a 10.8509
_cell_length_b 15.2034
_cell_length_c 10.7208
_cell_angle_alpha 90.01
_cell_angle_beta 90.01
_cell_angle_gamma 89.99
_space_group_name_H-M_alt 'P 1'
_space_group_IT_number 1
loop_
_space_group_symop_operation_xyz
'x,y,z'
loop_
_atom_site_label
_atom_site_type_symbol
_atom_site_fract_x
_atom_site_fract_y
_atom_site_fract_z
O1 O 0.4902 0.6253 0.7102
O2 O 0.6039 0.7704 0.6031
O3 O 0.8538 0.9793 0.1459
O4 O 0.2599 0.8748 0.9603
O5 O 0.9894 0.1250 0.7209
O6 O 0.7594 0.8743 0.4610
O7 O 0.8548 0.2697 0.6462
O8 O 0.1039 0.7705 0.1029
O9 O 0.8956 0.5208 0.3972
O10 O 0.3961 0.7297 0.8970
O11 O 0.6103 0.2662 0.1081
O12 O 0.6040 0.7704 0.1030
O13 O 0.0098 0.8747 0.7898
O14 O 0.3556 0.9781 0.1452
O15 O 0.4983 0.1238 0.2110
O16 O 0.6460 0.7296 0.8530
O17 O 0.6044 0.2697 0.6024
O18 O 0.6044 0.4804 0.6022
O19 O 0.8540 0.7704 0.6470
O20 O 0.1039 0.7703 0.6030
O21 O 0.2392 0.6258 0.0389
O22 O 0.5105 0.8747 0.2894
O23 O 0.1429 0.0132 0.3566
O24 O 0.2611 0.3757 0.4709
O25 O 0.1459 0.2302 0.8519
O26 O 0.3539 0.7703 0.1469
O27 O 0.4905 0.1247 0.7104
O28 O 0.1460 0.7296 0.8529
O29 O 0.3571 0.4868 0.1434
O30 O 0.1461 0.7297 0.3531
O31 O 0.8961 0.7296 0.8969
O32 O 0.3980 0.2326 0.3982
O33 O 0.2401 0.6252 0.5397
O34 O 0.0095 0.3753 0.7896
O35 O 0.1020 0.2674 0.1018
O36 O 0.7399 0.6251 0.5395
O37 O 0.8897 0.2338 0.3919
O38 O 0.6044 0.9792 0.1028
O39 O 0.7592 0.3756 0.4615
O40 O 0.6460 0.0204 0.8530
O41 O 0.3542 0.9791 0.6477
O42 O 0.2608 0.8742 0.4611
O43 O 0.1034 0.4800 0.6035
O44 O 0.8547 0.9802 0.6462
O45 O 0.6452 0.2303 0.8538
O46 O 0.6459 0.2295 0.3544
O47 O 0.8538 0.7705 0.1470
O48 O 0.3945 0.5221 0.8943
O49 O 0.8956 0.2303 0.8976
O50 O 0.5095 0.3753 0.2873
O51 O 0.9895 0.6253 0.2106
O52 O 0.9905 0.1247 0.2127
O53 O 0.4904 0.6262 0.2115
O54 O 0.7408 0.1244 0.0385
O55 O 0.6458 0.0202 0.3534
O56 O 0.0017 0.3762 0.2890
O57 O 0.1458 0.5209 0.8523
O58 O 0.7406 0.6257 0.0390
O59 O 0.1055 0.9779 0.6057
O60 O 0.3541 0.2698 0.6481
O61 O 0.3950 0.2283 0.8937
O62 O 0.3955 0.5199 0.3967
O63 O 0.8540 0.4796 0.6470
O64 O 0.3961 0.7295 0.3971
O65 O 0.3985 0.0179 0.3986
O66 O 0.8903 0.0156 0.3916
O67 O 0.8542 0.4798 0.1466
O68 O 0.8541 0.2705 0.1456
O69 O 0.1412 0.2351 0.3584
O70 O 0.1045 0.9801 0.1033
O71 O 0.6097 0.4843 0.1084
O72 O 0.1461 0.0193 0.8526
O73 O 0.8956 0.0196 0.8978
O74 O 0.7601 0.8749 0.9605
O75 O 0.6462 0.5207 0.3541
O76 O 0.1015 0.4821 0.1014
O77 O 0.5106 0.3750 0.7791
O78 O 0.8960 0.5205 0.8968
O79 O 0.7413 0.1249 0.5388
O80 O 0.6040 0.9795 0.6032
O81 O 0.2478 0.1248 0.5388
O82 O 0.3966 0.0200 0.8965
O83 O 0.3539 0.4807 0.6474
O84 O 0.6453 0.5198 0.8538
O85 O 0.2389 0.1243 0.0291
O86 O 0.1050 0.2717 0.6063
O87 O 0.1444 0.5219 0.3548
O88 O 0.6462 0.7295 0.3530
O89 O 0.2522 0.3752 0.9612
O90 O 0.8960 0.7296 0.3970
O91 O 0.9898 0.6250 0.7106
O92 O 0.3588 0.2649 0.1416
O93 O 0.0096 0.8738 0.2885
O94 O 0.3540 0.7704 0.6471
O95 O 0.7587 0.3751 0.9612
O96 O 0.5102 0.8750 0.7894
Mn1 Mn 0.5000 0.7501 0.7500
Mn2 Mn 0.9999 0.2507 0.7517
Mn3 Mn 0.2498 0.5008 0.5017
Mn4 Mn 0.2492 0.5014 0.9986
Mn5 Mn 0.5001 0.2493 0.7483
Mn6 Mn 0.7500 0.5003 0.5003
Mn7 Mn 0.2502 0.9992 0.9983
Mn8 Mn 0.4999 0.5008 0.7482
Mn9 Mn 0.9974 0.2512 0.2492
Mn10 Mn 0.2505 0.2506 0.5031
Mn11 Mn 0.7501 0.7502 0.9999
Mn12 Mn 0.5011 0.9992 0.2501
Mn13 Mn 0.5001 0.9998 0.7500
Mn14 Mn 0.9998 0.7498 0.2498
Mn15 Mn 0.7516 0.5009 0.0004
Mn16 Mn 0.7484 0.9991 0.4996
Mn17 Mn 0.7485 0.2507 0.4998
Mn18 Mn 0.2501 0.7499 0.5001
Mn19 Mn 0.5018 0.5018 0.2509
Mn20 Mn 0.9982 0.9982 0.2491
Mn21 Mn 0.2508 0.9986 0.5014
Mn22 Mn 0.9999 0.5002 0.7500
Mn23 Mn 0.0001 0.9992 0.7518
Mn24 Mn 0.5026 0.2488 0.2508
Mn25 Mn 0.7500 0.9997 0.9997
Mn26 Mn 0.7515 0.2493 0.0002
Mn27 Mn 0.5002 0.7502 0.2502
Mn28 Mn 0.7499 0.7498 0.5001
Mn29 Mn 0.9989 0.5008 0.2499
Mn30 Mn 0.2495 0.2494 0.9969
Mn31 Mn 0.0000 0.7499 0.7500
Mn32 Mn 0.2499 0.7501 0.9999
Ca1 Ca 0.4781 0.3751 0.5054
Ca2 Ca 0.0227 0.6251 0.4954
Ca3 Ca 0.7721 0.1250 0.7550
Ca4 Ca 0.0219 0.1249 0.9946
Ca5 Ca 0.0226 0.6251 0.9956
Ca6 Ca 0.2268 0.3753 0.7443
Ca7 Ca 0.9774 0.8747 0.5042
Ca8 Ca 0.2271 0.8746 0.2456
Ca9 Ca 0.9767 0.3753 0.5048
Ca10 Ca 0.9776 0.3751 0.0041
Ca11 Ca 0.5227 0.6251 0.4955
Ca12 Ca 0.5226 0.6253 0.9958
Ca13 Ca 0.7276 0.8750 0.2457
Ca14 Ca 0.9773 0.8749 0.0045
Ca15 Ca 0.2272 0.8748 0.7455
Ca16 Ca 0.2729 0.6254 0.2544
Ca17 Ca 0.2728 0.6252 0.7545
Ca18 Ca 0.7726 0.6250 0.7546
Ca19 Ca 0.2732 0.1247 0.7557
Ca20 Ca 0.7724 0.6250 0.2543
Ca21 Ca 0.7292 0.3750 0.2467
Ca22 Ca 0.5224 0.1249 0.4959
Ca23 Ca 0.7279 0.3750 0.7450
Ca24 Ca 0.7274 0.8750 0.7454
Ca25 Ca 0.7708 0.1250 0.2533
Ca26 Ca 0.4773 0.8749 0.0046
Ca27 Ca 0.5233 0.1247 0.9952
Ca28 Ca 0.4774 0.8749 0.5044
Sr1 Sr 0.4834 0.3752 0.0027
Sr2 Sr 0.2680 0.1245 0.2535
Sr3 Sr 0.2320 0.3755 0.2465
Sr4 Sr 0.0166 0.1248 0.4973
```

No. 6
VASP calculation (PBE with a Hubbard U) on SrCa7Mn8O21 after structural relaxation.

Calculated values
* theoretical density: 4.12 Mg/m³
* E_tot: -6.98 eV/atom
* space group: P1, No. 1

Structure (CIF):
```
data_SrCa7Mn8O21
_chemical_formula_sum 'Sr1 Ca7 Mn8 O21'
_cell_length_a 7.8039
_cell_length_b 7.7115
_cell_length_c 7.6701
_cell_angle_alpha 90.06
_cell_angle_beta 86.55
_cell_angle_gamma 90.00
_space_group_name_H-M_alt 'P 1'
_space_group_IT_number 1
loop_
_space_group_symop_operation_xyz
'x,y,z'
loop_
_atom_site_label
_atom_site_type_symbol
_atom_site_fract_x
_atom_site_fract_y
_atom_site_fract_z
O1 O 0.7205 0.4678 0.0722
O2 O 0.9505 0.7581 0.0202
O3 O 0.0480 0.7526 0.5150
O4 O 0.4821 0.2483 0.9401
O5 O 0.5261 0.5496 0.7439
O6 O 0.5290 0.7501 0.0399
O7 O 0.9715 0.2483 0.4939
O8 O 0.9920 0.2330 0.0393
O9 O 0.8924 0.0110 0.7751
O10 O 0.5064 0.9438 0.7384
O11 O 0.2329 0.9734 0.0643
O12 O 0.0355 0.5061 0.2558
O13 O 0.9560 0.4940 0.7603
O14 O 0.2499 0.0355 0.5225
O15 O 0.2615 0.4709 0.5161
O16 O 0.7542 0.5331 0.4696
O17 O 0.7710 0.9639 0.4428
O18 O 0.2562 0.5232 0.9811
O19 O 0.5351 0.0596 0.2318
O20 O 0.5426 0.2547 0.5253
O21 O 0.4680 0.7419 0.4308
Mn1 Mn 0.9893 0.4971 0.0098
Mn2 Mn 0.9991 0.9994 0.5232
Mn3 Mn 0.5117 0.5037 0.5010
Mn4 Mn 0.5123 0.9989 0.4827
Mn5 Mn 0.0114 0.9946 0.9799
Mn6 Mn 0.5009 0.5035 0.9861
Mn7 Mn 0.4893 0.9970 0.9921
Mn8 Mn 0.0033 0.5023 0.5044
Ca1 Ca 0.7681 0.2552 0.2816
Ca2 Ca 0.7380 0.7359 0.2460
Ca3 Ca 0.7594 0.7473 0.7445
Ca4 Ca 0.2778 0.7376 0.7090
Ca5 Ca 0.2761 0.2631 0.7312
Ca6 Ca 0.2389 0.7318 0.2342
Ca7 Ca 0.7489 0.2692 0.7487
Sr1 Sr 0.2443 0.2444 0.2472
```